Entry 1:
First-principles (PBE) data for LiHfMg14O15 after structural relaxation, as listed in Materials Project.

- E above lowest polymorph (meV per atom) = 0.0
- crystal system = orthorhombic
- MP2020-corrected energy (eV per cell) = -197.44
- formation energy (eV per formula unit) = -89.0
- space-group type = Pmm2
- final energy (eV/atom) = -6.0367

Lattice parameters (Å, degrees): 4.2932 8.6134 8.5678 90.00 90.00 90.00
Element x y z (fractional)
Li: 0.0000 0.0000 0.0000
Hf: 0.0000 0.5000 0.9923
Mg: 0.0000 0.0000 0.4998
Mg: 0.0000 0.2389 0.7463
Mg: 0.0000 0.2415 0.2531
Mg: 0.0000 0.5000 0.5001
Mg: 0.0000 0.7585 0.2531
Mg: 0.0000 0.7611 0.7463
Mg: 0.5000 0.0000 0.2459
Mg: 0.5000 0.0000 0.7541
Mg: 0.5000 0.2338 0.9991
Mg: 0.5000 0.2473 0.5007
Mg: 0.5000 0.5000 0.2558
Mg: 0.5000 0.5000 0.7468
Mg: 0.5000 0.7527 0.5007
Mg: 0.5000 0.7662 0.9991
O: 0.0000 0.0000 0.2571
O: 0.0000 0.0000 0.7427
O: 0.0000 0.2522 0.4996
O: 0.0000 0.2592 0.0003
O: 0.0000 0.5000 0.2543
O: 0.0000 0.7408 0.0003
O: 0.0000 0.7478 0.4996
O: 0.5000 0.0000 0.0007
O: 0.5000 0.0000 0.4988
O: 0.5000 0.2455 0.7504
O: 0.5000 0.2509 0.2486
O: 0.5000 0.5000 0.0053
O: 0.5000 0.5000 0.5000
O: 0.5000 0.7491 0.2486
O: 0.5000 0.7545 0.7504

---

Entry 2:
First-principles (PBE) data for K3Ti after structural relaxation, as listed in Materials Project.

- E above lowest polymorph (meV per atom) = 7.1
- crystal system = tetragonal
- formation energy (eV per formula unit) = 3.5
- space-group type = I4/mmm
- final energy (eV/atom) = -1.9424

Lattice parameters (Å, degrees): 7.1699 7.1699 7.1699 130.73 130.73 72.25
Element x y z (fractional)
K: 0.0000 0.0000 0.0000
K: 0.2500 0.7500 0.5000
K: 0.7500 0.2500 0.5000
Ti: 0.5000 0.5000 0.0000

---

Entry 3:
First-principles (PBE) data for Cs2ErSi6O14F after structural relaxation, as listed in Materials Project.

- crystal system = orthorhombic
- MP2020-corrected energy (eV per cell) = -1514.92
- formation energy (eV per formula unit) = -79.3
- space-group type = Cmce
- final energy (eV/atom) = -7.4702

Lattice parameters (Å, degrees): 15.2868 15.2868 14.6846 90.00 90.00 109.99
Element x y z (fractional)
Cs: 0.0937 0.9063 0.9804
Cs: 0.1021 0.3952 0.4886
Cs: 0.1048 0.3979 0.0114
Cs: 0.1134 0.8866 0.5022
Cs: 0.3866 0.6134 0.0022
Cs: 0.3952 0.1021 0.5114
Cs: 0.3979 0.1048 0.9886
Cs: 0.4063 0.5937 0.4804
Cs: 0.5937 0.4063 0.5196
Cs: 0.6021 0.8952 0.0114
Cs: 0.6048 0.8979 0.4886
Cs: 0.6134 0.3866 0.9978
Cs: 0.8866 0.1134 0.4978
Cs: 0.8952 0.6021 0.9886
Cs: 0.8979 0.6048 0.5114
Cs: 0.9063 0.0937 0.0196
Er: 0.9997 0.2498 0.2483
Er: 0.0003 0.7502 0.7517
Er: 0.2498 0.9997 0.7517
Er: 0.2502 0.5003 0.2517
Er: 0.5003 0.2502 0.7483
Er: 0.4997 0.7498 0.2517
Er: 0.7502 0.0003 0.2483
Er: 0.7498 0.4997 0.7483
Si: 0.0205 0.6600 0.2514
Si: 0.0218 0.1547 0.7568
Si: 0.1306 0.1555 0.3976
Si: 0.1485 0.6725 0.8953
Si: 0.1547 0.0218 0.2432
Si: 0.1555 0.1306 0.6024
Si: 0.1579 0.6637 0.6059
Si: 0.1600 0.5205 0.7514
Si: 0.1637 0.6579 0.1059
Si: 0.1725 0.6485 0.3953
Si: 0.1737 0.1813 0.1064
Si: 0.1813 0.1737 0.8936
Si: 0.3187 0.3263 0.3936
Si: 0.3263 0.3187 0.6064
Si: 0.3275 0.8515 0.8953
Si: 0.3363 0.8421 0.6059
Si: 0.3400 0.9795 0.2514
Si: 0.3421 0.8363 0.1059
Si: 0.3445 0.3694 0.1024
Si: 0.3453 0.4782 0.7432
Si: 0.3515 0.8275 0.3953
Si: 0.3694 0.3445 0.8976
Si: 0.4782 0.3453 0.2568
Si: 0.4795 0.8400 0.7514
Si: 0.5205 0.1600 0.2486
Si: 0.5218 0.6547 0.7432
Si: 0.6306 0.6555 0.1024
Si: 0.6485 0.1725 0.6047
Si: 0.6547 0.5218 0.2568
Si: 0.6555 0.6306 0.8976
Si: 0.6579 0.1637 0.8941
Si: 0.6600 0.0205 0.7486
Si: 0.6637 0.1579 0.3941
Si: 0.6725 0.1485 0.1047
Si: 0.6737 0.6813 0.3936
Si: 0.6813 0.6737 0.6064
Si: 0.8187 0.8263 0.1064
Si: 0.8263 0.8187 0.8936
Si: 0.8275 0.3515 0.6047
Si: 0.8363 0.3421 0.8941
Si: 0.8400 0.4795 0.2486
Si: 0.8421 0.3363 0.3941
Si: 0.8445 0.8694 0.3976
Si: 0.8453 0.9782 0.7568
Si: 0.8515 0.3275 0.1047
Si: 0.8694 0.8445 0.6024
Si: 0.9782 0.8453 0.2432
Si: 0.9795 0.3400 0.7486
O: 0.0142 0.7617 0.2777
O: 0.0607 0.2095 0.3728
O: 0.0642 0.6611 0.1498
O: 0.0662 0.1199 0.6700
O: 0.0688 0.9312 0.2067
O: 0.0718 0.7198 0.8755
O: 0.0800 0.6334 0.3309
O: 0.0859 0.4141 0.7500
O: 0.0872 0.7043 0.6552
O: 0.0905 0.1904 0.8438
O: 0.0941 0.2122 0.1518
O: 0.1073 0.1073 0.5000
O: 0.1199 0.0662 0.3300
O: 0.1258 0.6367 0.4988
O: 0.1334 0.5800 0.8309
O: 0.1367 0.6258 0.9988
O: 0.1456 0.1456 0.0000
O: 0.1611 0.5642 0.6498
O: 0.1904 0.0905 0.1562
O: 0.2043 0.5872 0.1552
O: 0.2095 0.0607 0.6272
O: 0.2122 0.0941 0.8482
O: 0.2204 0.2415 0.6038
O: 0.2198 0.5718 0.3755
O: 0.2322 0.7678 0.1038
O: 0.2383 0.9858 0.2777
O: 0.2415 0.2204 0.3962
O: 0.2416 0.7584 0.3839
O: 0.2585 0.2796 0.8962
O: 0.2584 0.7416 0.8839
O: 0.2617 0.5142 0.7777
O: 0.2678 0.7322 0.6038
O: 0.2796 0.2585 0.1038
O: 0.2802 0.9282 0.8755
O: 0.2878 0.4059 0.3482
O: 0.2905 0.4393 0.1272
O: 0.2957 0.9128 0.6552
O: 0.3096 0.4095 0.6562
O: 0.3389 0.9358 0.1498
O: 0.3544 0.3544 0.5000
O: 0.3633 0.8742 0.4988
O: 0.3666 0.9200 0.3309
O: 0.3742 0.8633 0.9988
O: 0.3801 0.4338 0.8300
O: 0.3927 0.3927 0.0000
O: 0.4059 0.2878 0.6518
O: 0.4095 0.3096 0.3438
O: 0.4128 0.7957 0.1552
O: 0.4141 0.0859 0.2500
O: 0.4200 0.8666 0.8309
O: 0.4282 0.7802 0.3755
O: 0.4312 0.5688 0.7067
O: 0.4338 0.3801 0.1700
O: 0.4358 0.8389 0.6498
O: 0.4393 0.2905 0.8728
O: 0.4858 0.7383 0.7777
O: 0.5142 0.2617 0.2223
O: 0.5607 0.7095 0.1272
O: 0.5642 0.1611 0.3502
O: 0.5662 0.6199 0.8300
O: 0.5688 0.4312 0.2933
O: 0.5718 0.2198 0.6245
O: 0.5800 0.1334 0.1691
O: 0.5859 0.9141 0.7500
O: 0.5872 0.2043 0.8448
O: 0.5905 0.6904 0.6562
O: 0.5941 0.7122 0.3482
O: 0.6073 0.6073 0.0000
O: 0.6199 0.5662 0.1700
O: 0.6258 0.1367 0.0012
O: 0.6334 0.0800 0.6691
O: 0.6367 0.1258 0.5012
O: 0.6456 0.6456 0.5000
O: 0.6611 0.0642 0.8502
O: 0.6904 0.5905 0.3438
O: 0.7043 0.0872 0.3448
O: 0.7095 0.5607 0.8728
O: 0.7122 0.5941 0.6518
O: 0.7198 0.0718 0.1245
O: 0.7204 0.7415 0.8962
O: 0.7322 0.2678 0.3962
O: 0.7383 0.4858 0.2223
O: 0.7416 0.2584 0.1161
O: 0.7415 0.7204 0.1038
O: 0.7584 0.2416 0.6161
O: 0.7585 0.7796 0.6038
O: 0.7617 0.0142 0.7223
O: 0.7678 0.2322 0.8962
O: 0.7802 0.4282 0.6245
O: 0.7796 0.7585 0.3962
O: 0.7878 0.9059 0.1518
O: 0.7905 0.9393 0.3728
O: 0.7957 0.4128 0.8448
O: 0.8096 0.9095 0.8438
O: 0.8389 0.4358 0.3502
O: 0.8544 0.8544 0.0000
O: 0.8633 0.3742 0.0012
O: 0.8666 0.4200 0.1691
O: 0.8742 0.3633 0.5012
O: 0.8801 0.9338 0.6700
O: 0.8927 0.8927 0.5000
O: 0.9059 0.7878 0.8482
O: 0.9095 0.8096 0.1562
O: 0.9128 0.2957 0.3448
O: 0.9141 0.5859 0.2500
O: 0.9200 0.3666 0.6691
O: 0.9282 0.2802 0.1245
O: 0.9312 0.0688 0.7933
O: 0.9338 0.8801 0.3300
O: 0.9358 0.3389 0.8502
O: 0.9393 0.7905 0.6272
O: 0.9858 0.2383 0.7223
F: 0.1053 0.8947 0.7587
F: 0.1061 0.3939 0.2500
F: 0.3939 0.1061 0.7500
F: 0.3947 0.6053 0.2587
F: 0.6053 0.3947 0.7413
F: 0.6061 0.8939 0.2500
F: 0.8939 0.6061 0.7500
F: 0.8947 0.1053 0.2413

---

Entry 4:
First-principles (PBE) data for AgBrO2 after structural relaxation, as listed in Materials Project.

- crystal system = triclinic
- MP2020-corrected energy (eV per cell) = -15.28
- formation energy (eV per formula unit) = -0.9
- space-group type = P1
- final energy (eV/atom) = -3.7404

Lattice parameters (Å, degrees): 4.5563 4.5707 6.5527 89.58 86.35 60.15
Element x y z (fractional)
Ag: 0.0000 0.0000 0.0000
Br: 0.3330 0.3351 0.0051
O: 0.3710 0.8195 0.5104
O: 0.6805 0.7025 0.4922

---

Entry 5:
First-principles (PBE) data for ThFe4P12 after structural relaxation, as listed in Materials Project.

- crystal system = cubic
- formation energy (eV per formula unit) = -11.2
- space-group type = Im-3
- final energy (eV/atom) = -6.9070

Lattice parameters (Å, degrees): 6.7590 6.7590 6.7590 109.47 109.47 109.47
Element x y z (fractional)
Th: 0.0000 0.0000 0.0000
Fe: 0.0000 0.0000 0.5000
Fe: 0.0000 0.5000 0.0000
Fe: 0.5000 0.0000 0.0000
Fe: 0.5000 0.5000 0.5000
P: 0.1522 0.3513 0.5035
P: 0.1522 0.6487 0.8009
P: 0.1991 0.8478 0.3513
P: 0.3513 0.1991 0.8478
P: 0.3513 0.5035 0.1522
P: 0.4965 0.8478 0.6487
P: 0.5035 0.1522 0.3513
P: 0.6487 0.4965 0.8478
P: 0.6487 0.8009 0.1522
P: 0.8009 0.1522 0.6487
P: 0.8478 0.3513 0.1991
P: 0.8478 0.6487 0.4965

---

Entry 6:
First-principles (PBE) data for MgCo4As4S4 after structural relaxation, as listed in Materials Project.

- E above lowest polymorph (meV per atom) = 101.2
- crystal system = triclinic
- MP2020-corrected energy (eV per cell) = -69.57
- formation energy (eV per formula unit) = -4.4
- space-group type = P1
- final energy (eV/atom) = -5.1966

Lattice parameters (Å, degrees): 5.8375 5.8381 5.8401 88.98 88.78 88.95
Element x y z (fractional)
Mg: 0.0000 0.0000 0.0000
Co: 0.2784 0.7998 0.3190
Co: 0.3145 0.2790 0.8038
Co: 0.7662 0.7673 0.7721
Co: 0.7988 0.3142 0.2827
As: 0.1810 0.6323 0.9087
As: 0.4344 0.4356 0.4392
As: 0.6340 0.9033 0.1860
As: 0.9011 0.1823 0.6367
S: 0.2105 0.2099 0.2187
S: 0.4025 0.9016 0.6864
S: 0.6805 0.4035 0.9063
S: 0.9012 0.6816 0.4080